Record 1
First-principles (PBE) data for a relaxed structure of Na3GdCl6, as listed in the Materials Project database.

a = 7.566 Å, b = 7.566 Å, c = 7.566 Å
α = 56.23°, β = 56.23°, γ = 56.23°
Element x y z (fractional)
Na1 0.000 0.000 0.000
Na2 0.300 0.300 0.300
Na3 0.700 0.700 0.700
Gd1 0.500 0.500 0.500
Cl1 0.126 0.723 0.393
Cl2 0.277 0.607 0.874
Cl3 0.393 0.126 0.723
Cl4 0.607 0.874 0.277
Cl5 0.723 0.393 0.126
Cl6 0.874 0.277 0.607

## Properties
Polymorph energy (0 for the lowest one), eV/f.u.: 0.00
E, eV for the cell shown: -49.08
Calculated formation energy, kcal/mol of atoms: -54.5
Crystal system: trigonal

---

Record 2
First-principles (PBE) data for a relaxed structure of GdClO, as listed in the Materials Project database.

a = 3.970 Å, b = 3.970 Å, c = 6.748 Å
α = 90.00°, β = 90.00°, γ = 90.00°
Element x y z (fractional)
Gd1 0.250 0.250 0.171
Gd2 0.750 0.750 0.829
Cl1 0.250 0.250 0.627
Cl2 0.750 0.750 0.373
O1 0.250 0.750 0.000
O2 0.750 0.250 0.000

## Properties
E, eV for the cell shown: -60.01
Calculated formation energy, kcal/mol of atoms: -75.5
Crystal system: tetragonal

---

Record 3
First-principles (PBE) data for a relaxed structure of GdClO2, as listed in the Materials Project database.

a = 6.333 Å, b = 3.652 Å, c = 6.517 Å
α = 90.00°, β = 110.74°, γ = 90.00°
Element x y z (fractional)
Gd1 0.187 0.250 0.342
Gd2 0.813 0.750 0.658
Cl1 0.242 0.750 0.031
Cl2 0.758 0.250 0.969
O1 0.054 0.250 0.629
O2 0.422 0.750 0.557
O3 0.578 0.250 0.443
O4 0.946 0.750 0.371

## Properties
E, eV for the cell shown: -65.88
Calculated formation energy, kcal/mol of atoms: -49.0
Crystal system: monoclinic

---

Record 4
First-principles (PBE) data for a relaxed structure of GdSClO4, as listed in the Materials Project database.

a = 9.549 Å, b = 6.640 Å, c = 6.885 Å
α = 90.00°, β = 105.07°, γ = 90.00°
Element x y z (fractional)
Gd1 0.237 0.095 0.173
Gd2 0.237 0.405 0.673
Gd3 0.763 0.595 0.327
Gd4 0.763 0.905 0.827
S1 0.356 0.559 0.208
S2 0.356 0.941 0.708
S3 0.644 0.059 0.292
S4 0.644 0.441 0.792
Cl1 0.030 0.140 0.811
Cl2 0.030 0.360 0.311
Cl3 0.970 0.640 0.689
Cl4 0.970 0.860 0.189
O1 0.279 0.072 0.532
O2 0.279 0.428 0.032
O3 0.281 0.746 0.695
O4 0.281 0.754 0.195
O5 0.344 0.058 0.887
O6 0.344 0.442 0.387
O7 0.493 0.088 0.296
O8 0.493 0.412 0.796
O9 0.507 0.588 0.204
O10 0.507 0.912 0.704
O11 0.656 0.558 0.613
O12 0.656 0.942 0.113
O13 0.719 0.246 0.805
O14 0.719 0.254 0.305
O15 0.721 0.572 0.968
O16 0.721 0.928 0.468

## Properties
E, eV for the cell shown: -219.41
Calculated formation energy, kcal/mol of atoms: -58.5
Crystal system: monoclinic